1.
! CuTe PBE-GGA relaxed; values from VASP
! - Volume: 23.01 Å³/atom
! - Mass density: 6.90 g/cm³
! - E: -3.69 eV per atom
&SYSTEM
  ibrav = 0, nat = 4, ntyp = 2
/
ATOMIC_SPECIES
Cu 63.55 Cu.upf
Te 127.60 Te.upf
CELL_PARAMETERS angstrom
-1.157 -1.858 -2.329
3.732 -0.473 -1.476
0.905 -5.740 4.130
ATOMIC_POSITIONS crystal
Cu 0.500 0.000 0.541
Te 0.000 0.000 0.227
Te 0.500 0.500 0.773
Cu 0.000 0.500 0.459

***

2.
! Ho11Te16ClO48 PBE-GGA relaxed; values from VASP
! - Volume: 15.68 Å³/atom
! - Mass density: 6.49 g/cm³
! - E: -6.52 eV per atom
&SYSTEM
  ibrav = 0, nat = 76, ntyp = 4
/
ATOMIC_SPECIES
O 16.00 O.upf
Ho 164.93 Ho.upf
Te 127.60 Te.upf
Cl 35.45 Cl.upf
CELL_PARAMETERS angstrom
5.567 0.000 0.000
-2.044 11.815 0.000
-1.911 -3.831 18.124
ATOMIC_POSITIONS crystal
O 0.554 0.196 0.400
Ho 0.869 0.430 0.271
O 0.529 0.268 0.566
O 0.659 0.199 0.709
O 0.556 0.397 0.344
O 0.691 0.606 0.319
O 0.872 0.925 0.648
Te 0.794 0.994 0.339
O 0.901 0.949 0.428
Cl 0.500 0.500 0.000
Te 0.069 0.448 0.890
O 0.890 0.688 0.789
O 0.600 0.257 0.221
Ho 0.917 0.114 0.814
Te 0.510 0.555 0.392
O 0.395 0.040 0.213
O 0.709 0.505 0.176
Te 0.229 0.326 0.119
O 0.471 0.732 0.434
Te 0.206 0.006 0.661
O 0.605 0.960 0.787
O 0.980 0.769 0.512
O 0.090 0.923 0.775
Te 0.490 0.445 0.608
O 0.147 0.291 0.854
O 0.341 0.801 0.291
O 0.797 0.447 0.817
O 0.910 0.077 0.225
O 0.444 0.603 0.656
O 0.816 0.838 0.921
O 0.603 0.065 0.563
O 0.201 0.086 0.912
O 0.998 0.691 0.649
O 0.150 0.142 0.726
O 0.378 0.782 0.140
Te 0.647 0.114 0.165
O 0.002 0.309 0.351
O 0.397 0.935 0.437
Ho 0.557 0.681 0.222
O 0.698 0.081 0.958
O 0.291 0.495 0.824
O 0.128 0.075 0.352
O 0.850 0.858 0.274
Te 0.835 0.317 0.436
Te 0.492 0.805 0.050
Ho 0.283 0.104 0.478
Te 0.165 0.683 0.564
Te 0.353 0.886 0.835
Ho 0.281 0.215 0.294
Ho 0.083 0.886 0.186
Te 0.210 0.791 0.382
O 0.099 0.051 0.572
Ho 0.131 0.570 0.729
Ho 0.443 0.319 0.778
Ho 0.719 0.785 0.706
Te 0.931 0.552 0.110
Ho 0.000 0.000 0.000
O 0.184 0.162 0.079
O 0.070 0.648 0.928
O 0.309 0.394 0.681
O 0.302 0.919 0.042
Te 0.508 0.195 0.950
O 0.799 0.914 0.088
Te 0.771 0.674 0.881
O 0.020 0.231 0.488
O 0.110 0.312 0.211
O 0.446 0.804 0.600
O 0.203 0.553 0.183
Te 0.790 0.209 0.618
Ho 0.717 0.896 0.522
O 0.813 0.454 0.654
O 0.930 0.352 0.072
O 0.622 0.218 0.860
O 0.400 0.743 0.779
O 0.187 0.546 0.346
O 0.853 0.709 0.146

***

3.
! ZrC PBE-GGA relaxed; values from VASP
! - Energy relative to the lowest polymorph listed for this composition: 168.5 meV per atom
! - Volume: 13.17 Å³/atom
! - Mass density: 6.51 g/cm³
&SYSTEM
  ibrav = 0, nat = 4, ntyp = 2
/
ATOMIC_SPECIES
Zr 91.22 Zr.upf
C 12.01 C.upf
CELL_PARAMETERS angstrom
1.696 -2.937 0.000
1.696 2.937 0.000
0.000 0.000 5.290
ATOMIC_POSITIONS crystal
Zr 0.667 0.333 0.750
Zr 0.333 0.667 0.250
C 0.000 0.000 0.500
C 0.000 0.000 0.000